DFT (PBE) results for a relaxed structure of Zr4Co4Ge7.

a b c (Å): 13.285 13.285 5.251
angles (deg): 90.00 90.00 90.00
Space group I4/mmm (No. 139)
Symmetry-distinct sites (fractional):
1 Zr 0.000 0.196 0.000
2 Zr 0.139 0.139 0.500
3 Co 0.148 0.352 0.250
4 Ge 0.000 0.000 0.251
5 Ge 0.000 0.293 0.500
6 Ge 0.000 0.406 0.000
7 Ge 0.208 0.208 0.000

=====

DFT (PBE) results for a relaxed structure of Na3LaSiGeP2O12.

a b c (Å): 16.414 9.284 22.119
angles (deg): 90.00 93.40 90.00
Space group Cc (No. 9)
Symmetry-distinct sites (fractional):
1 Na 0.000 0.001 0.000
2 Na 0.004 0.320 0.905
3 Na 0.015 0.370 0.250
4 Na 0.026 0.350 0.578
5 Na 0.171 0.493 0.168
6 Na 0.178 0.161 0.413
7 Na 0.336 0.042 0.835
8 Na 0.345 0.318 0.248
9 Na 0.348 0.355 0.584
10 La 0.010 0.011 0.350
11 La 0.182 0.482 0.016
12 La 0.345 0.003 0.180
13 Si 0.032 0.290 0.749
14 Si 0.324 0.337 0.420
15 Si 0.491 0.173 0.589
16 Ge 0.037 0.009 0.640
17 Ge 0.195 0.475 0.812
18 Ge 0.351 0.014 0.478
19 P 0.018 0.377 0.420
20 P 0.157 0.173 0.251
21 P 0.190 0.134 0.573
22 P 0.199 0.194 0.913
23 P 0.347 0.359 0.745
24 P 0.369 0.291 0.085
25 O 0.011 0.212 0.417
26 O 0.013 0.209 0.811
27 O 0.040 0.171 0.690
28 O 0.060 0.414 0.482
29 O 0.061 0.446 0.367
30 O 0.079 0.405 0.085
31 O 0.097 0.118 0.196
32 O 0.111 0.038 0.580
33 O 0.118 0.388 0.758
34 O 0.121 0.133 0.310
35 O 0.140 0.075 0.895
36 O 0.154 0.342 0.247
37 O 0.162 0.292 0.569
38 O 0.165 0.270 0.967
39 O 0.212 0.307 0.860
40 O 0.231 0.076 0.515
41 O 0.245 0.121 0.247
42 O 0.246 0.122 0.629
43 O 0.256 0.393 0.361
44 O 0.269 0.461 0.752
45 O 0.284 0.378 0.482
46 O 0.287 0.130 0.928
47 O 0.301 0.400 0.070
48 O 0.322 0.153 0.416
49 O 0.323 0.199 0.745
50 O 0.360 0.242 0.150
51 O 0.371 0.155 0.042
52 O 0.384 0.421 0.689
53 O 0.402 0.382 0.803
54 O 0.418 0.389 0.416
55 O 0.422 0.131 0.529
56 O 0.431 0.044 0.921
57 O 0.451 0.129 0.651
58 O 0.455 0.368 0.081
59 O 0.457 0.097 0.239
60 O 0.494 0.358 0.590

## Properties
* magnetization: 0.00 μB/f.u.

=====

DFT (PBE) results for a relaxed structure of Y4Fe28BC.

a b c (Å): 12.354 12.355 11.839
angles (deg): 90.00 90.00 90.00
Space group Cmmm (No. 65)
Symmetry-distinct sites (fractional):
1 Y 0.000 0.142 0.000
2 Y 0.000 0.239 0.500
3 Y 0.142 0.500 0.500
4 Y 0.234 0.500 0.000
5 Fe 0.000 0.000 0.392
6 Fe 0.000 0.182 0.255
7 Fe 0.000 0.403 0.300
8 Fe 0.000 0.500 0.116
9 Fe 0.098 0.000 0.205
10 Fe 0.105 0.329 0.127
11 Fe 0.161 0.302 0.325
12 Fe 0.170 0.104 0.380
13 Fe 0.184 0.500 0.247
14 Fe 0.198 0.160 0.176
15 Fe 0.250 0.250 0.000
16 Fe 0.250 0.250 0.500
17 B 0.000 0.373 0.000
18 C 0.127 0.000 0.500

## Properties
* magnetization: 61.47 μB/f.u.

=====

DFT (PBE) results for a relaxed structure of CdC2S2I2N4.

a b c (Å): 9.575 8.591 12.884
angles (deg): 90.00 96.17 90.00
Space group P2_1/c (No. 14)
Symmetry-distinct sites (fractional):
1 Cd 0.236 0.032 0.363
2 C 0.274 0.649 0.115
3 C 0.360 0.099 0.146
4 S 0.368 0.628 0.002
5 S 0.445 0.033 0.725
6 I 0.047 0.706 0.746
7 I 0.180 0.144 0.925
8 N 0.172 0.733 0.078
9 N 0.321 0.595 0.212
10 N 0.341 0.146 0.058
11 N 0.389 0.066 0.242

## Properties
* magnetization: 0.00 μB/f.u.
* ΔE to the lowest computed polymorph: 0.00 eV/f.u.

=====

DFT (PBE) results for a relaxed structure of Li19Cu4H8O16.

a b c (Å): 5.498 7.443 11.002
angles (deg): 89.63 89.51 89.87
Space group P1 (No. 1)
Symmetry-distinct sites (fractional):
1 Li 0.000 0.000 0.000
2 Li 0.001 0.486 0.323
3 Li 0.096 0.001 0.787
4 Li 0.119 0.501 0.098
5 Li 0.122 0.017 0.254
6 Li 0.272 0.751 0.899
7 Li 0.277 0.248 0.900
8 Li 0.326 0.746 0.389
9 Li 0.348 0.254 0.391
10 Li 0.486 0.501 0.765
11 Li 0.505 0.510 0.274
12 Li 0.574 0.999 0.805
13 Li 0.608 0.503 0.500
14 Li 0.617 0.984 0.328
15 Li 0.774 0.242 0.701
16 Li 0.776 0.760 0.702
17 Li 0.836 0.257 0.201
18 Li 0.856 0.745 0.203
19 Li 0.999 0.492 0.829
20 Cu 0.060 0.502 0.566
21 Cu 0.077 0.001 0.527
22 Cu 0.558 0.002 0.068
23 Cu 0.567 0.500 0.030
24 H 0.319 0.769 0.157
25 H 0.323 0.243 0.158
26 H 0.332 0.224 0.661
27 H 0.333 0.779 0.661
28 H 0.800 0.257 0.935
29 H 0.801 0.230 0.437
30 H 0.801 0.740 0.935
31 H 0.802 0.762 0.438
32 O 0.210 0.290 0.220
33 O 0.220 0.706 0.217
34 O 0.277 0.499 0.444
35 O 0.292 0.001 0.405
36 O 0.302 0.499 0.934
37 O 0.334 0.999 0.952
38 O 0.418 0.231 0.738
39 O 0.418 0.772 0.738
40 O 0.703 0.717 0.372
41 O 0.715 0.295 0.373
42 O 0.784 0.503 0.151
43 O 0.805 0.502 0.670
44 O 0.816 0.001 0.170
45 O 0.873 0.002 0.651
46 O 0.914 0.790 0.875
47 O 0.918 0.218 0.873

## Properties
* magnetization: 1.00 μB/f.u.

=====

DFT (PBE) results for a relaxed structure of Y2AlNi2.

a b c (Å): 4.102 5.439 8.289
angles (deg): 90.00 90.00 90.00
Space group Immm (No. 71)
Symmetry-distinct sites (fractional):
1 Y 0.000 0.000 0.207
2 Al 0.000 0.500 0.000
3 Ni 0.000 0.276 0.500

=====

DFT (PBE) results for a relaxed structure of BaSrSmNbO6.

a b c (Å): 8.608 8.608 8.608
angles (deg): 90.00 90.00 90.00
Space group F-43m (No. 216)
Symmetry-distinct sites (fractional):
1 Ba 0.000 0.000 0.000
2 Sr 0.000 0.000 0.500
3 Sm 0.250 0.250 0.250
4 Nb 0.250 0.250 0.750
5 O 0.016 0.250 0.750

## Properties
* magnetization: 0.00 μB/f.u.
* ΔE to the lowest computed polymorph: 0.36 eV/f.u.

=====

DFT (PBE) results for a relaxed structure of UP3.

a b c (Å): 5.4077 5.4077 5.2356
angles (deg): 90.00 90.00 120.00
Space group P6_3/mmc (No. 194)
Symmetry-distinct sites (fractional):
1 U 0.3333 0.6667 0.2500
2 P 0.1820 0.3640 0.7500

=====

Number 1: E_tot -417.2 eV per cell, energy of formation from the pure elements -0.62 eV per atom. Number 2: E_tot -1616.6 eV per cell, energy of formation from the pure elements -2.69 eV per atom. Number 3: E_tot -1127.8 eV per cell, energy of formation from the pure elements -0.09 eV per atom. Number 4: E_tot -234.2 eV per cell, energy of formation from the pure elements 0.37 eV per atom. Number 5: E_tot -227.9 eV per cell, energy of formation from the pure elements -1.70 eV per atom. Number 6: E_tot -61.8 eV per cell, energy of formation from the pure elements -0.53 eV per atom. Number 7: E_tot -310.3 eV per cell, energy of formation from the pure elements -3.36 eV per atom. Number 8: E_tot -59.9 eV per cell, energy of formation from the pure elements -0.61 eV per atom.